Entry from Materials Project: crystalline ThRe4Si2 at its relaxed geometry (GGA-PBE).

```
ThRe4Si2
1.0
7.285 0.000 0.000
0.000 15.659 0.000
0.000 0.000 4.173
Th Re Si
4 16 8
direct
0.085 0.118 0.000
0.415 0.618 0.500
0.585 0.382 0.500
0.915 0.882 0.000
0.004 0.706 0.500
0.071 0.581 0.000
0.143 0.449 0.500
0.239 0.322 0.000
0.261 0.822 0.500
0.357 0.949 0.000
0.429 0.081 0.500
0.496 0.206 0.000
0.504 0.794 0.000
0.571 0.919 0.500
0.643 0.051 0.000
0.739 0.178 0.500
0.761 0.678 0.000
0.857 0.551 0.500
0.929 0.419 0.000
0.996 0.294 0.500
0.171 0.975 0.500
0.198 0.728 0.000
0.302 0.228 0.500
0.329 0.475 0.000
0.671 0.525 0.000
0.698 0.772 0.500
0.802 0.272 0.000
0.829 0.025 0.500
```

The calculation puts the energy at -10.226 eV per atom.